[1]
The following is a DFT calculation (meta-GGA r2SCAN) of GaPO4 after structural relaxation.

Calculated values
- formation enthalpy at 0 K (meV/atom) = -2322

Cell: 6.9717 7.0033 6.8731 Å, 90.00 90.00 90.00°
With the nearest neighbours (Å) after each atom.
Space group C222_1 (No. 20)
Inequivalent atoms, fractional coordinates:
Ga (0.1839, 0.0000, 0.0000)  4 O 1.82-1.83
P (0.0000, 0.3194, 0.2500)  4 O 1.53
O (0.0271, 0.1984, 0.0667)  1 P 1.53
O (0.1767, 0.4452, 0.2824)  1 P 1.53

***

[2]
The following is a DFT calculation (meta-GGA r2SCAN) of K2Te2O5 after structural relaxation.

Calculated values
- formation enthalpy at 0 K (meV/atom) = -1520

Cell: 7.7304 15.2205 5.4709 Å, 90.00 94.07 90.00°
With the nearest neighbours (Å) after each atom.
Space group P2_1/c (No. 14)
Inequivalent atoms, fractional coordinates:
K (0.1208, 0.1816, 0.2356)  5 O 2.68-2.85
K (0.3740, 0.0674, 0.7657)  7 O 2.72-3.02
Te (0.1191, 0.5624, 0.7524)  3 O 1.85-1.92
Te (0.4139, 0.6835, 0.1988)  2 O 1.84-1.92
O (0.0537, 0.1459, 0.7266)  1 Te 1.85
O (0.1437, 0.5613, 0.4165)  1 Te 1.86
O (0.3153, 0.6361, 0.8395)  1 Te 1.92
O (0.4350, 0.0904, 0.2659)  1 Te 1.84
O (0.4467, 0.2444, 0.9989)  2 Te 1.92-2.12

***

[3]
The following is a DFT calculation (meta-GGA r2SCAN) of Yb2HgBi after structural relaxation.

Calculated values
- formation enthalpy at 0 K (meV/atom) = -472

Cell: 7.4486 7.4486 7.4486 Å, 90.00 90.00 90.00°
With the nearest neighbours (Å) after each atom.
Space group Fm-3m (No. 225)
Inequivalent atoms, fractional coordinates:
Yb (0.2500, 0.2500, 0.2500)  4 Hg 3.23, 4 Bi 3.23
Hg (0.0000, 0.0000, 0.0000)  8 Yb 3.23
Bi (0.0000, 0.0000, 0.5000)  8 Yb 3.23

***

[4]
The following is a DFT calculation (meta-GGA r2SCAN) of NdDyTl2 after structural relaxation.

Calculated values
- formation enthalpy at 0 K (meV/atom) = -473

Cell: 7.6597 7.6597 7.6597 Å, 90.00 90.00 90.00°
With the nearest neighbours (Å) after each atom.
Space group Fm-3m (No. 225)
Inequivalent atoms, fractional coordinates:
Nd (0.0000, 0.0000, 0.0000)  8 Tl 3.32
Dy (0.0000, 0.0000, 0.5000)  8 Tl 3.32
Tl (0.2500, 0.2500, 0.2500)  4 Dy 3.32, 4 Nd 3.32

***

[5]
The following is a DFT calculation (meta-GGA r2SCAN) of Ca3V2O8 after structural relaxation.

Calculated values
- formation enthalpy at 0 K (meV/atom) = -3054

Cell: 9.5894 5.5216 7.0414 Å, 90.00 116.47 90.00°
With the nearest neighbours (Å) after each atom.
Space group C2/m (No. 12)
Inequivalent atoms, fractional coordinates:
Ca (0.0000, 0.0000, 0.0000)  6 O 2.46-2.48
Ca (0.1937, 0.0000, 0.5891)  4 O 2.24-2.39
V (0.0968, 0.5000, 0.7880)  4 O 1.69-1.72
O (0.0166, 0.2444, 0.3022)  1 V 1.72
O (0.1843, 0.5000, 0.0564)  1 V 1.69
O (0.2365, 0.5000, 0.6972)  1 V 1.72

***

[6]
The following is a DFT calculation (meta-GGA r2SCAN) of KTm2Cu3Se5 after structural relaxation.

Calculated values
- formation enthalpy at 0 K (meV/atom) = -1299

Cell: 4.0625 14.2857 16.7539 Å, 90.00 90.00 90.00°
With the nearest neighbours (Å) after each atom.
Space group Cmcm (No. 63)
Inequivalent atoms, fractional coordinates:
K (0.0000, 0.0613, 0.2500)  8 Se 3.35-3.46
Tm (0.0000, 0.1930, 0.5936)  6 Se 2.75-2.89
Cu (0.0000, 0.3404, 0.2500)  4 Se 2.41-2.61
Cu (0.0000, 0.4175, 0.5294)  4 Se 2.45-2.54, 1 Cu 2.55
Se (0.0000, 0.1654, 0.0710)  2 Cu 2.45
Se (0.0000, 0.2509, 0.7500)  2 Cu 2.41
Se (0.0000, 0.4393, 0.1194)  3 Cu 2.51-2.61, 2 Tm 2.81

***

[7]
The following is a DFT calculation (meta-GGA r2SCAN) of YSiPt2 after structural relaxation.

Calculated values
- formation enthalpy at 0 K (meV/atom) = -1256

Cell: 7.3131 6.9291 5.5154 Å, 90.00 90.00 90.00°
With the nearest neighbours (Å) after each atom.
Space group Pnma (No. 62)
Inequivalent atoms, fractional coordinates:
Y (0.0262, 0.2500, 0.1366)  3 Si 2.96-2.98, 8 Pt 2.98-3.14
Si (0.1220, 0.7500, 0.3638)  6 Pt 2.47-2.62
Pt (0.1802, 0.0513, 0.5915)  3 Si 2.47-2.62, 1 Pt 2.75

***

no.,electronic total energy (eV/f.u.)
1,-58.3
2,-106.4
3,-182.8
4,-169.7
5,-136.8
6,-194.7
7,-137.1